Entry 1:
! RbH4O3, relaxed, DFT PBE; values from VASP
! E_form = -1.21 eV per atom
! Crystal system = orthorhombic
&SYSTEM
  ibrav = 0, nat = 32, ntyp = 3
/
ATOMIC_SPECIES
Rb 85.47 Rb.upf
H 1.01 H.upf
O 16.00 O.upf
CELL_PARAMETERS angstrom
0.000 7.058 5.290
5.307 0.000 5.290
5.307 7.058 0.000
ATOMIC_POSITIONS angstrom
Rb 5.315 5.172 5.290
Rb 7.953 8.701 7.935
Rb 5.299 8.944 5.290
Rb 7.969 12.473 7.935
H 4.990 4.150 2.073
H 3.228 4.123 0.348
H 4.786 2.886 3.059
H 2.079 2.934 0.348
H 4.902 6.380 2.151
H 8.483 6.415 5.704
H 8.279 7.679 4.718
H 5.713 7.735 2.151
H 3.059 2.851 4.796
H 0.318 2.908 2.073
H 0.522 4.172 3.059
H 2.248 4.206 4.796
H 2.336 6.437 4.718
H 5.882 6.463 8.284
H 4.733 7.652 8.284
H 2.132 7.701 5.704
O 4.233 5.237 1.090
O 3.728 1.708 3.735
O 1.074 1.821 1.090
O 5.307 7.058 2.778
O 7.798 7.054 5.350
O 7.961 10.587 5.423
O 10.451 10.591 7.995
O 1.580 5.350 3.735
O 5.307 7.058 7.707
O 2.817 7.062 5.350
O 7.961 10.587 10.352
O 5.471 10.583 7.995



Entry 2:
! Hf2OsPd, relaxed, DFT PBE; values from VASP
! E_form = -0.68 eV per atom
! Crystal system = cubic
&SYSTEM
  ibrav = 0, nat = 4, ntyp = 3
/
ATOMIC_SPECIES
Hf 178.49 Hf.upf
Os 190.23 Os.upf
Pd 106.42 Pd.upf
CELL_PARAMETERS angstrom
0.000 3.291 3.291
3.291 0.000 3.291
3.291 3.291 0.000
ATOMIC_POSITIONS angstrom
Hf 1.646 1.646 1.646
Hf 4.937 4.937 4.937
Os 0.000 0.000 0.000
Pd 3.291 3.291 3.291



Entry 3:
! LiNd6B3O13F2, relaxed, DFT PBE; values from VASP
! E_form = -3.59 eV per atom
! Crystal system = monoclinic
&SYSTEM
  ibrav = 0, nat = 50, ntyp = 5
/
ATOMIC_SPECIES
Li 6.94 Li.upf
Nd 144.24 Nd.upf
B 10.81 B.upf
O 16.00 O.upf
F 19.00 F.upf
CELL_PARAMETERS angstrom
6.087 -3.503 0.000
6.087 3.503 0.000
-4.090 0.000 15.666
ATOMIC_POSITIONS angstrom
Li 3.020 2.936 11.750
Li 5.065 -2.936 3.917
Nd -0.874 0.684 9.574
Nd -1.028 0.603 14.167
Nd 1.171 -0.684 1.741
Nd 1.017 -0.603 6.334
Nd 3.040 0.491 9.391
Nd 3.000 0.491 14.109
Nd 5.084 -0.491 1.558
Nd 5.045 -0.491 6.276
Nd 7.068 0.603 9.333
Nd 6.914 0.684 13.926
Nd 9.112 -0.603 1.500
Nd 8.959 -0.684 6.093
B 0.818 1.642 11.763
B 5.065 1.502 3.917
B 5.221 1.642 11.736
B 2.863 -1.642 3.930
B 3.020 -1.502 11.750
B 7.266 -1.642 3.903
O 1.305 1.923 10.476
O -0.365 0.962 11.869
O 1.501 2.058 12.896
O 5.084 2.197 2.704
O 3.028 0.589 0.941
O 5.045 2.197 5.130
O 4.538 2.058 10.604
O 3.016 0.570 6.912
O 0.983 -0.589 8.775
O 1.679 -0.962 4.036
O 4.734 1.923 13.023
O 0.971 -0.570 14.745
O 5.065 0.135 3.917
O 3.020 -0.135 11.750
O 7.113 0.570 0.921
O 3.350 -1.923 2.643
O 6.405 0.962 11.630
O 7.101 0.589 6.892
O 5.068 -0.570 8.755
O 3.546 -2.058 5.063
O 3.040 -2.197 10.537
O 5.056 -0.589 14.725
O 3.000 -2.197 12.963
O 6.583 -2.058 2.771
O 8.450 -0.962 3.797
O 6.779 -1.923 5.190
F 3.038 2.922 8.542
F 3.001 2.922 14.958
F 5.083 -2.922 0.708
F 5.046 -2.922 7.125



Entry 4:
! ThB6, relaxed, DFT PBE; values from VASP
! E_form = -0.49 eV per atom
! Crystal system = cubic
&SYSTEM
  ibrav = 0, nat = 7, ntyp = 2
/
ATOMIC_SPECIES
Th 232.04 Th.upf
B 10.81 B.upf
CELL_PARAMETERS angstrom
4.111 0.000 0.000
0.000 4.111 0.000
0.000 0.000 4.111
ATOMIC_POSITIONS angstrom
Th 0.000 0.000 0.000
B 0.811 2.055 2.055
B 2.055 0.811 2.055
B 2.055 2.055 0.811
B 2.055 2.055 3.300
B 2.055 3.300 2.055
B 3.300 2.055 2.055



Entry 5:
! SeBr3, relaxed, DFT PBE; values from VASP
! E_form = -0.11 eV per atom
! Crystal system = tetragonal
&SYSTEM
  ibrav = 0, nat = 4, ntyp = 2
/
ATOMIC_SPECIES
Se 78.96 Se.upf
Br 79.90 Br.upf
CELL_PARAMETERS angstrom
-1.988 1.988 8.640
1.988 -1.988 8.640
1.988 1.988 -8.640
ATOMIC_POSITIONS angstrom
Se 0.000 0.000 0.000
Br 1.988 0.000 4.320
Br 0.000 0.000 8.640
Br 0.000 1.988 4.320



Entry 6:
! DyYIr2, relaxed, DFT PBE; values from VASP
! E_form = -0.82 eV per atom
! Crystal system = cubic
&SYSTEM
  ibrav = 0, nat = 4, ntyp = 3
/
ATOMIC_SPECIES
Dy 162.50 Dy.upf
Y 88.91 Y.upf
Ir 192.22 Ir.upf
CELL_PARAMETERS angstrom
0.000 3.436 3.436
3.436 0.000 3.436
3.436 3.436 0.000
ATOMIC_POSITIONS angstrom
Dy 0.000 0.000 0.000
Y 3.436 3.436 3.436
Ir 1.718 1.718 1.718
Ir 5.154 5.154 5.154